No. 1
Below is an optimized crystal structure of LiVF4, with properties calculated at the meta-GGA r2SCAN level.

**SG**: C2/c (15)
**Energy above the most stable polymorph in this dataset**: 0.361 kcal/mol of atoms

a = 6.3755 Å, b = 6.3755 Å, c = 5.4023 Å
α = 92.03°, β = 92.03°, γ = 46.23°
Positions (direct):
1 Li 0.9997 0.0003 0.2500
2 Li 0.0003 0.9997 0.7500
3 V 0.0000 0.5000 0.0000
4 V 0.5000 0.0000 0.5000
5 F 0.0386 0.7725 0.9916
6 F 0.2262 0.3526 0.3168
7 F 0.2275 0.9614 0.5084
8 F 0.3526 0.2262 0.8168
9 F 0.6474 0.7738 0.1832
10 F 0.7725 0.0386 0.4916
11 F 0.7738 0.6474 0.6832
12 F 0.9614 0.2275 0.0084

=====

No. 2
Below is an optimized crystal structure of Na5SnP3, with properties calculated at the meta-GGA r2SCAN level.

**SG**: P2_1/c (14)

a = 8.2666 Å, b = 7.4163 Å, c = 15.5808 Å
α = 90.00°, β = 121.64°, γ = 90.00°
Positions (direct):
1 Na 0.0047 0.1606 0.0820
2 Na 0.0047 0.3394 0.5820
3 Na 0.0917 0.0033 0.7601
4 Na 0.0917 0.4967 0.2601
5 Na 0.2533 0.5218 0.0881
6 Na 0.2533 0.9782 0.5881
7 Na 0.3144 0.6428 0.7425
8 Na 0.3144 0.8572 0.2425
9 Na 0.4114 0.0396 0.0887
10 Na 0.4114 0.4604 0.5887
11 Na 0.5886 0.5396 0.4113
12 Na 0.5886 0.9604 0.9113
13 Na 0.6856 0.1428 0.7575
14 Na 0.6856 0.3572 0.2575
15 Na 0.7467 0.0218 0.4119
16 Na 0.7467 0.4782 0.9119
17 Na 0.9083 0.5033 0.7399
18 Na 0.9083 0.9967 0.2399
19 Na 0.9953 0.6606 0.4180
20 Na 0.9953 0.8394 0.9180
21 Sn 0.3380 0.1475 0.4104
22 Sn 0.3380 0.3525 0.9104
23 Sn 0.6620 0.6475 0.0896
24 Sn 0.6620 0.8525 0.5896
25 P 0.0614 0.2327 0.9177
26 P 0.0614 0.2673 0.4177
27 P 0.3354 0.7022 0.9291
28 P 0.3354 0.7978 0.4291
29 P 0.3612 0.2449 0.2633
30 P 0.3612 0.2551 0.7633
31 P 0.6388 0.7449 0.2367
32 P 0.6388 0.7551 0.7367
33 P 0.6646 0.2022 0.5709
34 P 0.6646 0.2978 0.0709
35 P 0.9386 0.7327 0.5823
36 P 0.9386 0.7673 0.0823

=====

No. 3
Below is an optimized crystal structure of LiCr2S4, with properties calculated at the meta-GGA r2SCAN level.

**Energy above the most stable polymorph in this dataset**: 0.000 kcal/mol of atoms

a = 6.8393 Å, b = 5.8974 Å, c = 6.0284 Å
α = 90.26°, β = 90.00°, γ = 90.00°
Positions (direct):
1 Li 0.0000 0.9999 0.0000
2 Li 0.5000 0.0000 0.0000
3 Cr 0.2500 0.4999 0.5000
4 Cr 0.7500 0.4999 0.5000
5 Cr 0.0000 0.0001 0.5000
6 Cr 0.5000 0.0001 0.5000
7 S 0.0000 0.3324 0.2780
8 S 0.5000 0.3324 0.2780
9 S 0.2500 0.8328 0.2755
10 S 0.7500 0.8328 0.2755
11 S 0.2500 0.1672 0.7247
12 S 0.7500 0.1671 0.7247
13 S 0.5000 0.6677 0.7218
14 S 0.0000 0.6677 0.7218

=====

No. 4
Below is an optimized crystal structure of MgIn2Te4, with properties calculated at the meta-GGA r2SCAN level.

**SG**: Cm (8)

a = 8.8880 Å, b = 8.8940 Å, c = 7.7770 Å
α = 90.00°, β = 124.80°, γ = 90.00°
Positions (direct):
1 Mg 0.0000 0.0000 0.0000
2 Mg 0.5000 0.5000 0.0000
3 In 0.0022 0.2498 0.5005
4 In 0.0022 0.7502 0.5005
5 In 0.5022 0.2502 0.5005
6 In 0.5022 0.7498 0.5005
7 Te 0.1162 0.5000 0.7706
8 Te 0.1171 0.2695 0.2301
9 Te 0.1171 0.7305 0.2301
10 Te 0.1568 0.0000 0.7717
11 Te 0.6162 0.0000 0.7706
12 Te 0.6171 0.2305 0.2301
13 Te 0.6171 0.7695 0.2301
14 Te 0.6568 0.5000 0.7717

=====

No. 5
Below is an optimized crystal structure of PmAgAu2, with properties calculated at the meta-GGA r2SCAN level.

**SG**: Fm-3m (225)

a = 6.9834 Å, b = 6.9834 Å, c = 6.9834 Å
α = 90.00°, β = 90.00°, γ = 90.00°
Positions (direct):
1 Pm 0.0000 0.0000 0.0000
2 Pm 0.0000 0.5000 0.5000
3 Pm 0.5000 0.0000 0.5000
4 Pm 0.5000 0.5000 0.0000
5 Ag 0.0000 0.0000 0.5000
6 Ag 0.0000 0.5000 0.0000
7 Ag 0.5000 0.0000 0.0000
8 Ag 0.5000 0.5000 0.5000
9 Au 0.2500 0.2500 0.2500
10 Au 0.2500 0.2500 0.7500
11 Au 0.2500 0.7500 0.2500
12 Au 0.2500 0.7500 0.7500
13 Au 0.7500 0.2500 0.2500
14 Au 0.7500 0.2500 0.7500
15 Au 0.7500 0.7500 0.2500
16 Au 0.7500 0.7500 0.7500

=====

No. 6
Below is an optimized crystal structure of Dy7Te2Pd2, with properties calculated at the meta-GGA r2SCAN level.

**SG**: Imm2 (44)

a = 9.4328 Å, b = 9.4328 Å, c = 9.4328 Å
α = 155.84°, β = 67.07°, γ = 118.50°
Positions (direct):
1 Dy 0.0000 0.0000 0.0000
2 Dy 0.0640 0.3809 0.6831
3 Dy 0.0930 0.7360 0.3569
4 Dy 0.3791 0.7360 0.6431
5 Dy 0.4589 0.5877 0.8712
6 Dy 0.6977 0.3809 0.3169
7 Dy 0.7165 0.5877 0.1288
8 Te 0.3397 0.3397 0.0000
9 Te 0.7394 0.2394 0.5000
10 Pd 0.3118 0.0738 0.2380
11 Pd 0.8357 0.0738 0.7620

=====

No. 7
Below is an optimized crystal structure of Ba2Sb, with properties calculated at the meta-GGA r2SCAN level.

**SG**: I4/mmm (139)

a = 5.2698 Å, b = 5.2698 Å, c = 19.0759 Å
α = 90.00°, β = 90.00°, γ = 90.00°
Positions (direct):
1 Ba 0.0000 0.0000 0.1804
2 Ba 0.0000 0.0000 0.8196
3 Ba 0.0000 0.5000 0.0000
4 Ba 0.0000 0.5000 0.5000
5 Ba 0.5000 0.0000 0.0000
6 Ba 0.5000 0.0000 0.5000
7 Ba 0.5000 0.5000 0.3196
8 Ba 0.5000 0.5000 0.6804
9 Sb 0.0000 0.0000 0.3661
10 Sb 0.0000 0.0000 0.6339
11 Sb 0.5000 0.5000 0.1339
12 Sb 0.5000 0.5000 0.8661

=====

No. 8
Below is an optimized crystal structure of Sr16Mn8O29, with properties calculated at the meta-GGA r2SCAN level.

**SG**: P1 (1)

a = 6.8231 Å, b = 10.2537 Å, c = 10.8254 Å
α = 90.11°, β = 90.05°, γ = 104.24°
Positions (direct):
1 Sr 0.0000 0.0000 0.0000
2 Sr 0.0014 0.9884 0.5053
3 Sr 0.1762 0.5879 0.2624
4 Sr 0.1947 0.6042 0.7645
5 Sr 0.2337 0.2326 0.2504
6 Sr 0.2548 0.2441 0.7556
7 Sr 0.4239 0.8476 0.5082
8 Sr 0.4433 0.8517 0.0034
9 Sr 0.4825 0.4938 0.5116
10 Sr 0.5044 0.4919 0.0098
11 Sr 0.6755 0.0859 0.2489
12 Sr 0.6804 0.1015 0.7547
13 Sr 0.7352 0.7357 0.2604
14 Sr 0.7535 0.7509 0.7637
15 Sr 0.9276 0.3511 0.0067
16 Sr 0.9426 0.3395 0.5077
17 Mn 0.2128 0.9179 0.2548
18 Mn 0.2161 0.9217 0.7585
19 Mn 0.4628 0.1694 0.0060
20 Mn 0.4677 0.1684 0.5069
21 Mn 0.7114 0.4177 0.2593
22 Mn 0.7173 0.4193 0.7568
23 Mn 0.9592 0.6681 0.5070
24 Mn 0.9689 0.6716 0.0066
25 O 0.0807 0.7862 0.6395
26 O 0.0818 0.7887 0.3696
27 O 0.1024 0.8051 0.8940
28 O 0.1808 0.5846 0.5170
29 O 0.2110 0.6008 0.0176
30 O 0.2276 0.2505 0.0062
31 O 0.2463 0.2543 0.4970
32 O 0.3275 0.0320 0.1218
33 O 0.3344 0.0387 0.6323
34 O 0.3437 0.0523 0.8759
35 O 0.3530 0.0559 0.3777
36 O 0.4343 0.8289 0.2488
37 O 0.4514 0.8447 0.7577
38 O 0.4708 0.4846 0.2676
39 O 0.4950 0.5072 0.7498
40 O 0.5783 0.2861 0.1416
41 O 0.5889 0.2956 0.8883
42 O 0.6054 0.3076 0.6183
43 O 0.6978 0.0942 0.0046
44 O 0.7087 0.0975 0.4975
45 O 0.7213 0.7390 0.5159
46 O 0.7460 0.7572 0.0159
47 O 0.8160 0.5223 0.4035
48 O 0.8480 0.5491 0.8681
49 O 0.8508 0.5557 0.1362
50 O 0.9316 0.3308 0.2649
51 O 0.9592 0.3503 0.7485
52 O 0.9703 0.9846 0.2456
53 O 0.9802 0.0001 0.7553

=====

no.,formation enthalpy at 0 K (eV per atom)
1,-3.224
2,-0.491
3,-1.045
4,-0.632
5,-0.638
6,-0.948
7,-1.010
8,-2.784